Entry 1:
MgVCl2O: optimized geometry, PBE+U.

Lattice parameters (Å, degrees): 3.7057 3.9569 7.0113 76.14 77.42 86.26
Last column: nearest neighbours and their distance in Å.
Fractional coordinates of all 5 atoms:
Mg  0.0000  0.0000  0.0000  1 O 1.91
V  0.6660  0.3015  0.6008  2 O 1.97-2.07
Cl  0.5307  0.5573  0.0192  3 Mg 2.51-2.73
Cl  0.9208  0.9123  0.3642  1 Mg 2.45, 2 V 2.52-2.68
O  0.1374  0.2083  0.7191  1 Mg 1.91, 2 V 1.97-2.07

Excess energy over the best structure of this formula in the dataset   161 meV/atom
SG   P1 (1)

Entry 2:
MgW2Cl4O4: optimized geometry, PBE+U.

Lattice parameters (Å, degrees): 3.8384 7.9518 7.7340 90.00 90.08 90.00
Last column: nearest neighbours and their distance in Å.
Fractional coordinates of all 11 atoms:
Mg  0.0000  0.0000  0.0000  8 Cl 2.86-3.03
W  0.5035  0.5000  0.2615  4 O 1.87-1.92
W  0.5054  0.5000  0.7653  4 O 1.92-2.01
Cl  0.5027  0.1858  0.2346  1 W 2.51
Cl  0.5027  0.8142  0.2346  1 W 2.51
Cl  0.5064  0.1837  0.7977  1 W 2.53
Cl  0.5064  0.8163  0.7977  1 W 2.53
O  0.0035  0.5000  0.2624  2 W 1.92
O  0.0053  0.5000  0.7614  2 W 1.92
O  0.5044  0.5000  0.0190  2 W 1.87-1.96
O  0.5045  0.5000  0.5053  2 W 1.89-2.01

SG   Pm (6)

Entry 3:
Mn8Cl3O10: optimized geometry, PBE+U.

Lattice parameters (Å, degrees): 9.4068 9.4068 9.4068 119.13 119.13 91.52
Last column: nearest neighbours and their distance in Å.
Fractional coordinates of all 42 atoms:
Mn  0.0000  0.0000  0.0000  8 O 2.31
Mn  0.0000  0.3504  0.3504  4 O 1.92-1.94
Mn  0.0000  0.6496  0.6496  4 O 1.92-1.94
Mn  0.0012  0.0012  0.6494  4 O 1.89-1.96
Mn  0.0012  0.3517  0.0000  4 O 1.89-1.96
Mn  0.2500  0.7500  0.5000  6 O 1.99-2.09
Mn  0.3504  0.0000  0.3504  4 O 1.92-1.94
Mn  0.3517  0.0012  0.0000  4 O 1.89-1.96
Mn  0.3517  0.3517  0.3506  4 O 1.89-1.96
Mn  0.5000  0.5000  0.0000  6 Cl 2.58-2.65
Mn  0.6483  0.6483  0.6494  4 O 1.89-1.96
Mn  0.6483  0.9988  0.0000  4 O 1.89-1.96
Mn  0.6496  0.0000  0.6496  4 O 1.92-1.94
Mn  0.7500  0.2500  0.5000  6 O 1.99-2.09
Mn  0.9988  0.6483  0.0000  4 O 1.89-1.96
Mn  0.9988  0.9988  0.3506  4 O 1.89-1.96
Cl  0.3032  0.3032  0.6064  5 Mn 2.65-2.92
Cl  0.3032  0.6968  0.0000  5 Mn 2.65-2.92
Cl  0.3036  0.3036  0.0000  1 Mn 2.58
Cl  0.6964  0.6964  0.0000  1 Mn 2.58
Cl  0.6968  0.3032  0.0000  5 Mn 2.65-2.92
Cl  0.6968  0.6968  0.3936  5 Mn 2.65-2.92
O  0.0948  0.5948  0.1895  3 Mn 1.89-2.09
O  0.0948  0.9052  0.5000  3 Mn 1.89-2.09
O  0.0981  0.5981  0.5000  3 Mn 1.92-1.99
O  0.0998  0.2995  0.1998  3 Mn 1.94-1.96
O  0.1000  0.9002  0.1998  3 Mn 1.94-1.96
O  0.0998  0.9000  0.8002  3 Mn 1.94-1.96
O  0.2995  0.0998  0.1998  3 Mn 1.94-1.96
O  0.4019  0.9019  0.5000  3 Mn 1.92-1.99
O  0.4052  0.5948  0.5000  3 Mn 1.89-2.09
O  0.4052  0.9052  0.8105  3 Mn 1.89-2.09
O  0.5948  0.0948  0.1895  3 Mn 1.89-2.09
O  0.5948  0.4052  0.5000  3 Mn 1.89-2.09
O  0.5981  0.0981  0.5000  3 Mn 1.92-1.99
O  0.7005  0.9002  0.8002  3 Mn 1.94-1.96
O  0.9002  0.1000  0.1998  3 Mn 1.94-1.96
O  0.9000  0.0998  0.8002  3 Mn 1.94-1.96
O  0.9002  0.7005  0.8002  3 Mn 1.94-1.96
O  0.9019  0.4019  0.5000  3 Mn 1.92-1.99
O  0.9052  0.0948  0.5000  3 Mn 1.89-2.09
O  0.9052  0.4052  0.8105  3 Mn 1.89-2.09

Excess energy over the best structure of this formula in the dataset   0 meV/atom
SG   I4/mmm (139)

Entry 4:
MnClO3: optimized geometry, PBE+U.

Lattice parameters (Å, degrees): 6.4320 6.4320 5.2448 90.00 90.00 109.39
Last column: nearest neighbours and their distance in Å.
Fractional coordinates of all 10 atoms:
Mn  0.1741  0.8259  0.5000  3 O 1.59
Mn  0.8259  0.1741  0.0000  3 O 1.59
Cl  0.3643  0.6357  0.3785  1 Mn 2.10
Cl  0.6357  0.3643  0.8785  1 Mn 2.10
O  0.0686  0.2818  0.8929  1 Mn 1.59
O  0.1726  0.8274  0.8025  1 Mn 1.59
O  0.2818  0.0686  0.3929  1 Mn 1.59
O  0.7182  0.9314  0.8929  1 Mn 1.59
O  0.8274  0.1726  0.3025  1 Mn 1.59
O  0.9314  0.7182  0.3929  1 Mn 1.59

SG   Cmc2_1 (36)

Entry 5:
Mn8Cl3O10: optimized geometry, PBE+U.

Lattice parameters (Å, degrees): 9.3670 9.3670 9.3670 60.00 60.00 60.00
Last column: nearest neighbours and their distance in Å.
Fractional coordinates of all 42 atoms:
Mn  0.0000  0.0000  0.0000  8 O 2.28
Mn  0.0000  0.0000  0.3515  4 O 1.89-1.94
Mn  0.0000  0.0000  0.6485  4 O 1.89-1.94
Mn  0.0000  0.3515  0.0000  4 O 1.89-1.94
Mn  0.0000  0.3515  0.6485  4 O 1.89-1.94
Mn  0.0000  0.6485  0.0000  4 O 1.89-1.94
Mn  0.0000  0.6485  0.3515  4 O 1.89-1.94
Mn  0.2500  0.2500  0.2500  6 O 2.04
Mn  0.3515  0.0000  0.0000  4 O 1.89-1.94
Mn  0.3515  0.0000  0.6485  4 O 1.89-1.94
Mn  0.3515  0.6485  0.0000  4 O 1.89-1.94
Mn  0.5000  0.5000  0.5000  6 Cl 2.60
Mn  0.6485  0.0000  0.0000  4 O 1.89-1.94
Mn  0.6485  0.0000  0.3515  4 O 1.89-1.94
Mn  0.6485  0.3515  0.0000  4 O 1.89-1.94
Mn  0.7500  0.7500  0.7500  6 O 2.04
Cl  0.3040  0.3040  0.6960  5 Mn 2.60-2.88
Cl  0.3040  0.6960  0.3040  5 Mn 2.60-2.88
Cl  0.3040  0.6960  0.6960  5 Mn 2.60-2.88
Cl  0.6960  0.3040  0.3040  5 Mn 2.60-2.88
Cl  0.6960  0.3040  0.6960  5 Mn 2.60-2.88
Cl  0.6960  0.6960  0.3040  5 Mn 2.60-2.88
O  0.0963  0.0963  0.4037  3 Mn 1.89-2.04
O  0.0963  0.4037  0.0963  3 Mn 1.89-2.04
O  0.0963  0.4037  0.4037  3 Mn 1.89-2.04
O  0.0996  0.0996  0.0996  3 Mn 1.94
O  0.0996  0.0996  0.7013  3 Mn 1.94
O  0.0996  0.7013  0.0996  3 Mn 1.94
O  0.2987  0.9004  0.9004  3 Mn 1.94
O  0.4037  0.0963  0.0963  3 Mn 1.89-2.04
O  0.4037  0.0963  0.4037  3 Mn 1.89-2.04
O  0.4037  0.4037  0.0963  3 Mn 1.89-2.04
O  0.5963  0.5963  0.9037  3 Mn 1.89-2.04
O  0.5963  0.9037  0.5963  3 Mn 1.89-2.04
O  0.5963  0.9037  0.9037  3 Mn 1.89-2.04
O  0.7013  0.0996  0.0996  3 Mn 1.94
O  0.9004  0.2987  0.9004  3 Mn 1.94
O  0.9004  0.9004  0.2987  3 Mn 1.94
O  0.9004  0.9004  0.9004  3 Mn 1.94
O  0.9037  0.5963  0.5963  3 Mn 1.89-2.04
O  0.9037  0.5963  0.9037  3 Mn 1.89-2.04
O  0.9037  0.9037  0.5963  3 Mn 1.89-2.04

Excess energy over the best structure of this formula in the dataset   8 meV/atom
SG   Fm-3m (225)

Entry 6:
Mn5P3ClO12: optimized geometry, PBE+U.

Lattice parameters (Å, degrees): 9.6640 9.6640 6.2816 90.00 90.00 120.00
Last column: nearest neighbours and their distance in Å.
Fractional coordinates of all 42 atoms:
Mn  0.0350  0.2779  0.2500  5 O 2.16-2.37
Mn  0.2429  0.9650  0.2500  5 O 2.16-2.37
Mn  0.2779  0.2429  0.7500  5 O 2.16-2.37
Mn  0.3333  0.6667  0.5060  6 O 2.25-2.31
Mn  0.3333  0.6667  0.9940  6 O 2.25-2.31
Mn  0.6667  0.3333  0.0060  6 O 2.25-2.31
Mn  0.6667  0.3333  0.4940  6 O 2.25-2.31
Mn  0.7221  0.7571  0.2500  5 O 2.16-2.37
Mn  0.7571  0.0350  0.7500  5 O 2.16-2.37
Mn  0.9650  0.7221  0.7500  5 O 2.16-2.37
P  0.0259  0.6194  0.2500  4 O 1.54-1.59
P  0.3806  0.4065  0.2500  4 O 1.54-1.59
P  0.4065  0.0259  0.7500  4 O 1.54-1.59
P  0.5935  0.9741  0.2500  4 O 1.54-1.59
P  0.6194  0.5935  0.7500  4 O 1.54-1.59
P  0.9741  0.3806  0.7500  4 O 1.54-1.59
Cl  0.0000  0.0000  0.2500  3 Mn 2.53
Cl  0.0000  0.0000  0.7500  3 Mn 2.53
O  0.0748  0.7310  0.0525  1 P 1.55
O  0.0748  0.7310  0.4475  1 P 1.55
O  0.1374  0.5424  0.2500  1 P 1.59
O  0.1516  0.5121  0.7500  1 P 1.54
O  0.2690  0.3438  0.0525  1 P 1.55
O  0.2690  0.3438  0.4475  1 P 1.55
O  0.3438  0.0748  0.5525  1 P 1.55
O  0.3438  0.0748  0.9475  1 P 1.55
O  0.3605  0.8484  0.7500  1 P 1.54
O  0.4050  0.8626  0.2500  1 P 1.59
O  0.4576  0.5950  0.2500  1 P 1.59
O  0.4879  0.6395  0.7500  1 P 1.54
O  0.5121  0.3605  0.2500  1 P 1.54
O  0.5424  0.4050  0.7500  1 P 1.59
O  0.5950  0.1374  0.7500  1 P 1.59
O  0.6395  0.1516  0.2500  1 P 1.54
O  0.6562  0.9252  0.0525  1 P 1.55
O  0.6562  0.9252  0.4475  1 P 1.55
O  0.7310  0.6562  0.5525  1 P 1.55
O  0.7310  0.6562  0.9475  1 P 1.55
O  0.8484  0.4879  0.2500  1 P 1.54
O  0.8626  0.4576  0.7500  1 P 1.59
O  0.9252  0.2690  0.5525  1 P 1.55
O  0.9252  0.2690  0.9475  1 P 1.55

SG   P6_3/m (176)

Number 1: calculated formation energy -1.63 eV/atom. Number 2: calculated formation energy -1.53 eV/atom. Number 3: calculated formation energy -1.85 eV/atom. Number 4: calculated formation energy -0.72 eV/atom. Number 5: calculated formation energy -1.84 eV/atom. Number 6: calculated formation energy -2.44 eV/atom.